Record 1
DFT (PBE) results for a geometry-optimized Sn2P2O7 structure.

## Properties
As for the energy relative to the elements: -2.311 eV/atom.

Structure (CIF):
```
data_Sn2P2O7
_chemical_formula_sum 'Sn8 P8 O28'
_cell_length_a 7.085
_cell_length_b 9.677
_cell_length_c 9.536
_cell_angle_alpha 90.00
_cell_angle_beta 99.96
_cell_angle_gamma 90.00
_space_group_name_H-M_alt 'C 1 2/c 1'
_space_group_IT_number 15
loop_
_space_group_symop_operation_xyz
'x,y,z'
'-x,-y,-z'
'-x,y,-z+1/2'
'x,-y,z+1/2'
'x+1/2,y+1/2,z'
'-x+1/2,-y+1/2,-z'
'-x+1/2,y+1/2,-z+1/2'
'x+1/2,-y+1/2,z+1/2'
loop_
_atom_site_label
_atom_site_type_symbol
_atom_site_fract_x
_atom_site_fract_y
_atom_site_fract_z
_atom_site_occupancy
Sn1 Sn 0.001 0.193 0.494 1
P1 P 0.202 0.477 0.215 1
O1 O 0.000 0.415 0.250 1
O2 O 0.157 0.018 0.642 1
O3 O 0.169 0.381 0.647 1
O4 O 0.240 0.138 0.883 1
```


Record 2
DFT (PBE) results for a geometry-optimized Sn4P3O12 structure.

## Properties
As for the energy relative to the elements: -2.243 eV/atom.

Structure (CIF):
```
data_Sn4P3O12
_chemical_formula_sum 'Sn24 P18 O72'
_cell_length_a 9.8226
_cell_length_b 9.8226
_cell_length_c 25.4548
_cell_angle_alpha 90.00
_cell_angle_beta 90.00
_cell_angle_gamma 120.00
_space_group_name_H-M_alt 'R 3 c'
_space_group_IT_number 161
_space_group_name_Hall 'R 3 -2"c'
loop_
_atom_site_label
_atom_site_type_symbol
_atom_site_fract_x
_atom_site_fract_y
_atom_site_fract_z
_atom_site_occupancy
Sn1 Sn 0.0000 0.0000 0.0000 1
Sn2 Sn 0.1388 0.3945 0.3098 1
P1 P 0.0098 0.4576 0.1019 1
O1 O 0.0149 0.4807 0.5478 1
O2 O 0.0533 0.2725 0.7630 1
O3 O 0.1295 0.3729 0.9782 1
O4 O 0.1703 0.4764 0.1179 1
```


Record 3
DFT (PBE) results for a geometry-optimized SrZnSnP2O8 structure.

## Properties
As for the energy relative to the elements: -2.606 eV/atom.

Structure (CIF):
```
data_SrZnSnP2O8
_chemical_formula_sum 'Sr2 Zn2 Sn2 P4 O16'
_cell_length_a 5.565
_cell_length_b 7.202
_cell_length_c 10.035
_cell_angle_alpha 107.56
_cell_angle_beta 105.16
_cell_angle_gamma 96.91
_space_group_name_H-M_alt 'P -1'
_space_group_IT_number 2
loop_
_space_group_symop_operation_xyz
'x,y,z'
'-x,-y,-z'
loop_
_atom_site_label
_atom_site_type_symbol
_atom_site_fract_x
_atom_site_fract_y
_atom_site_fract_z
_atom_site_occupancy
Sr1 Sr 0.198 0.251 0.463 1
Zn1 Zn 0.381 0.218 0.862 1
Sn1 Sn 0.042 0.747 0.921 1
P1 P 0.155 0.701 0.287 1
P2 P 0.464 0.768 0.780 1
O1 O 0.066 0.321 0.855 1
O2 O 0.120 0.489 0.301 1
O3 O 0.127 0.859 0.421 1
O4 O 0.267 0.114 0.200 1
O5 O 0.272 0.916 0.797 1
O6 O 0.358 0.608 0.628 1
O7 O 0.424 0.751 0.270 1
O8 O 0.483 0.686 0.911 1
```


Record 4
DFT (PBE) results for a geometry-optimized TiSnP2O8 structure.

## Properties
As for the energy relative to the elements: -2.702 eV/atom.

Structure (CIF):
```
data_TiSnP2O8
_chemical_formula_sum 'Ti2 Sn2 P4 O16'
_cell_length_a 5.071
_cell_length_b 6.238
_cell_length_c 10.934
_cell_angle_alpha 90.00
_cell_angle_beta 91.68
_cell_angle_gamma 90.00
_space_group_name_H-M_alt 'P 1 21/m 1'
_space_group_IT_number 11
loop_
_space_group_symop_operation_xyz
'x,y,z'
'-x,-y,-z'
'-x,y+1/2,-z'
'x,-y+1/2,z'
loop_
_atom_site_label
_atom_site_type_symbol
_atom_site_fract_x
_atom_site_fract_y
_atom_site_fract_z
_atom_site_occupancy
Ti1 Ti 0.067 0.250 0.205 1
Sn1 Sn 0.464 0.250 0.725 1
P1 P 0.051 0.750 0.088 1
P2 P 0.337 0.750 0.632 1
O1 O 0.121 0.750 0.950 1
O2 O 0.176 0.564 0.695 1
O3 O 0.191 0.551 0.151 1
O4 O 0.246 0.250 0.898 1
O5 O 0.333 0.750 0.496 1
O6 O 0.375 0.250 0.310 1
```


Record 5
DFT (PBE) results for a geometry-optimized ZnSn3P4O14 structure.

## Properties
As for the energy relative to the elements: -2.305 eV/atom.

Structure (CIF):
```
data_ZnSn3P4O14
_chemical_formula_sum 'Zn2 Sn6 P8 O28'
_cell_length_a 8.135
_cell_length_b 8.267
_cell_length_c 10.040
_cell_angle_alpha 90.00
_cell_angle_beta 103.77
_cell_angle_gamma 90.00
_space_group_name_H-M_alt 'P 1 21/c 1'
_space_group_IT_number 14
loop_
_space_group_symop_operation_xyz
'x,y,z'
'-x,-y,-z'
'-x,y+1/2,-z+1/2'
'x,-y+1/2,z+1/2'
loop_
_atom_site_label
_atom_site_type_symbol
_atom_site_fract_x
_atom_site_fract_y
_atom_site_fract_z
_atom_site_occupancy
Zn1 Zn 0.000 0.000 0.000 1
Sn1 Sn 0.303 0.137 0.483 1
Sn2 Sn 0.500 0.000 0.000 1
P1 P 0.061 0.038 0.706 1
P2 P 0.319 0.703 0.174 1
O1 O 0.110 0.057 0.865 1
O2 O 0.129 0.636 0.171 1
O3 O 0.130 0.530 0.851 1
O4 O 0.152 0.169 0.643 1
O5 O 0.282 0.634 0.600 1
O6 O 0.400 0.578 0.092 1
O7 O 0.422 0.707 0.321 1
```


Record 6
DFT (PBE) results for a geometry-optimized ZnSn2P2O10 structure.

## Properties
As for the energy relative to the elements: -2.209 eV/atom.

Structure (CIF):
```
data_ZnSn2P2O10
_chemical_formula_sum 'Zn8 Sn16 P16 O80'
_cell_length_a 11.505
_cell_length_b 16.963
_cell_length_c 7.488
_cell_angle_alpha 90.00
_cell_angle_beta 90.00
_cell_angle_gamma 90.00
_space_group_name_H-M_alt 'F d d 2'
_space_group_IT_number 43
_space_group_name_Hall 'F 2 -2d'
loop_
_atom_site_label
_atom_site_type_symbol
_atom_site_fract_x
_atom_site_fract_y
_atom_site_fract_z
_atom_site_occupancy
Zn1 Zn 0.000 0.000 0.000 1
Sn1 Sn 0.122 0.378 0.887 1
P1 P 0.001 0.206 0.013 1
O1 O 0.005 0.075 0.514 1
O2 O 0.009 0.351 0.672 1
O3 O 0.013 0.152 0.848 1
O4 O 0.108 0.240 0.479 1
O5 O 0.108 0.261 0.050 1
```


Record 7
DFT (PBE) results for a geometry-optimized ZnSn2P2O9 structure.

## Properties
As for the energy relative to the elements: -2.220 eV/atom.

Structure (CIF):
```
data_ZnSn2P2O9
_chemical_formula_sum 'Zn4 Sn8 P8 O36'
_cell_length_a 16.279
_cell_length_b 6.442
_cell_length_c 8.169
_cell_angle_alpha 90.00
_cell_angle_beta 90.00
_cell_angle_gamma 90.00
_space_group_name_H-M_alt 'P n m a'
_space_group_IT_number 62
loop_
_space_group_symop_operation_xyz
'x,y,z'
'-x,-y,-z'
'-x+1/2,-y,z+1/2'
'x+1/2,y,-z+1/2'
'x+1/2,-y+1/2,-z+1/2'
'-x+1/2,y+1/2,z+1/2'
'-x,y+1/2,-z'
'x,-y+1/2,z'
loop_
_atom_site_label
_atom_site_type_symbol
_atom_site_fract_x
_atom_site_fract_y
_atom_site_fract_z
_atom_site_occupancy
Zn1 Zn 0.188 0.250 0.013 1
Sn1 Sn 0.000 0.000 0.000 1
Sn2 Sn 0.115 0.250 0.379 1
P1 P 0.064 0.750 0.388 1
P2 P 0.210 0.750 0.901 1
O1 O 0.002 0.750 0.533 1
O2 O 0.016 0.750 0.223 1
O3 O 0.081 0.250 0.142 1
O4 O 0.123 0.564 0.403 1
O5 O 0.158 0.549 0.925 1
O6 O 0.217 0.250 0.528 1
O7 O 0.244 0.250 0.232 1
```


Record 8
DFT (PBE) results for a geometry-optimized SrP2O6 structure.

## Properties
As for the energy relative to the elements: -2.991 eV/atom.

Structure (CIF):
```
data_SrP2O6
_chemical_formula_sum 'Sr4 P8 O24'
_cell_length_a 4.559
_cell_length_b 11.070
_cell_length_c 10.517
_cell_angle_alpha 90.00
_cell_angle_beta 91.54
_cell_angle_gamma 90.00
_space_group_name_H-M_alt 'P 1 21/c 1'
_space_group_IT_number 14
loop_
_space_group_symop_operation_xyz
'x,y,z'
'-x,-y,-z'
'-x,y+1/2,-z+1/2'
'x,-y+1/2,z+1/2'
loop_
_atom_site_label
_atom_site_type_symbol
_atom_site_fract_x
_atom_site_fract_y
_atom_site_fract_z
_atom_site_occupancy
Sr1 Sr 0.032 0.193 0.015 1
P1 P 0.069 0.513 0.784 1
P2 P 0.437 0.651 0.207 1
O1 O 0.016 0.121 0.643 1
O2 O 0.042 0.515 0.640 1
O3 O 0.103 0.609 0.169 1
O4 O 0.393 0.028 0.331 1
O5 O 0.469 0.672 0.347 1
O6 O 0.499 0.249 0.387 1
```


Record 9
DFT (PBE) results for a geometry-optimized Sr5P3O14 structure.

## Properties
As for the energy relative to the elements: -2.841 eV/atom.

Structure (CIF):
```
data_Sr5P3O14
_chemical_formula_sum 'Sr10 P6 O28'
_cell_length_a 9.9091
_cell_length_b 9.9091
_cell_length_c 7.3123
_cell_angle_alpha 90.00
_cell_angle_beta 90.00
_cell_angle_gamma 120.00
_space_group_name_H-M_alt 'P 63/m'
_space_group_IT_number 176
_space_group_name_Hall '-P 6c'
loop_
_atom_site_label
_atom_site_type_symbol
_atom_site_fract_x
_atom_site_fract_y
_atom_site_fract_z
_atom_site_occupancy
Sr1 Sr 0.0086 0.2532 0.2500 1
Sr2 Sr 0.3333 0.6667 0.9998 1
P1 P 0.0302 0.3997 0.7500 1
O1 O 0.0000 0.0000 0.0921 1
O2 O 0.0834 0.3464 0.5778 1
O3 O 0.1174 0.5818 0.7500 1
O4 O 0.1497 0.6699 0.2500 1
```


Record 10
DFT (PBE) results for a geometry-optimized Sr5P3O13 structure.

## Properties
As for the energy relative to the elements: -3.247 eV/atom.

Structure (CIF):
```
data_Sr5P3O13
_chemical_formula_sum 'Sr10 P6 O26'
_cell_length_a 9.9067
_cell_length_b 9.9067
_cell_length_c 7.3543
_cell_angle_alpha 90.00
_cell_angle_beta 90.00
_cell_angle_gamma 120.00
_space_group_name_H-M_alt 'P 63/m'
_space_group_IT_number 176
_space_group_name_Hall '-P 6c'
loop_
_atom_site_label
_atom_site_type_symbol
_atom_site_fract_x
_atom_site_fract_y
_atom_site_fract_z
_atom_site_occupancy
Sr1 Sr 0.0105 0.2543 0.2500 1
Sr2 Sr 0.3333 0.6667 0.9997 1
P1 P 0.0300 0.3984 0.7500 1
O1 O 0.0000 0.0000 0.2500 1
O2 O 0.0826 0.3443 0.5785 1
O3 O 0.1179 0.5802 0.7500 1
O4 O 0.1497 0.6704 0.2500 1
```